First-principles (PBE) data for a relaxed structure of SnH6CI3N, as listed in Materials Project.

Geometry as CIF:
```
data_SnH6CI3N
_cell_length_a 8.505
_cell_length_b 13.156
_cell_length_c 9.149
_cell_angle_alpha 90.00
_cell_angle_beta 90.00
_cell_angle_gamma 90.00
_space_group_name_H-M_alt 'P n m a'
_space_group_IT_number 62
loop_
_space_group_symop_operation_xyz
'x,y,z'
'-x,-y,-z'
'-x+1/2,-y,z+1/2'
'x+1/2,y,-z+1/2'
'x+1/2,-y+1/2,-z+1/2'
'-x+1/2,y+1/2,z+1/2'
'-x,y+1/2,-z'
'x,-y+1/2,z'
loop_
_atom_site_label
_atom_site_type_symbol
_atom_site_fract_x
_atom_site_fract_y
_atom_site_fract_z
Sn1 Sn 0.000 0.000 0.000
H1 H 0.005 0.186 0.358
H2 H 0.007 0.181 0.619
H3 H 0.160 0.750 0.451
H4 H 0.163 0.250 0.424
C1 C 0.032 0.750 0.438
I1 I 0.042 0.750 0.011
I2 I 0.186 0.522 0.695
N1 N 0.040 0.250 0.414
```

## Properties
E: -4.2452 eV per atom
Crystal system: orthorhombic
Formation energy from the elements: -0.40 eV/atom

First-principles (PBE) data for a relaxed structure of SnH8C2I3N, as listed in Materials Project.

Geometry as CIF:
```
data_SnH8C2I3N
_cell_length_a 15.031
_cell_length_b 9.165
_cell_length_c 8.562
_cell_angle_alpha 90.00
_cell_angle_beta 90.00
_cell_angle_gamma 90.00
_space_group_name_H-M_alt 'P n a 21'
_space_group_IT_number 33
loop_
_space_group_symop_operation_xyz
'x,y,z'
'-x,-y,z+1/2'
'-x+1/2,y+1/2,z+1/2'
'x+1/2,-y+1/2,z'
loop_
_atom_site_label
_atom_site_type_symbol
_atom_site_fract_x
_atom_site_fract_y
_atom_site_fract_z
Sn1 Sn 0.001 0.004 0.000
H1 H 0.093 0.612 0.867
H2 H 0.103 0.399 0.581
H3 H 0.131 0.351 0.830
H4 H 0.143 0.581 0.608
H5 H 0.161 0.531 0.019
H6 H 0.211 0.644 0.869
H7 H 0.219 0.439 0.559
H8 H 0.236 0.394 0.811
C1 C 0.158 0.565 0.896
C2 C 0.159 0.465 0.624
I1 I 0.087 0.236 0.190
I2 I 0.094 0.775 0.293
I3 I 0.159 0.013 0.740
N1 N 0.172 0.434 0.795
```

## Properties
E: -4.4752 eV per atom
Crystal system: orthorhombic
Formation energy from the elements: -0.33 eV/atom

First-principles (PBE) data for a relaxed structure of SnH6CI3N, as listed in Materials Project.

Geometry as CIF:
```
data_SnH6CI3N
_cell_length_a 9.057
_cell_length_b 9.058
_cell_length_c 12.557
_cell_angle_alpha 89.16
_cell_angle_beta 88.95
_cell_angle_gamma 89.49
_space_group_name_H-M_alt 'P 1'
_space_group_IT_number 1
loop_
_space_group_symop_operation_xyz
'x,y,z'
loop_
_atom_site_label
_atom_site_type_symbol
_atom_site_fract_x
_atom_site_fract_y
_atom_site_fract_z
Sn1 Sn 0.000 0.000 0.000
Sn2 Sn 0.002 0.003 0.500
Sn3 Sn 0.500 0.506 0.000
Sn4 Sn 0.501 0.503 0.500
H1 H 0.010 0.605 0.124
H2 H 0.024 0.399 0.631
H3 H 0.079 0.574 0.623
H4 H 0.087 0.437 0.128
H5 H 0.100 0.556 0.303
H6 H 0.112 0.477 0.803
H7 H 0.400 0.040 0.129
H8 H 0.405 0.037 0.624
H9 H 0.420 0.929 0.308
H10 H 0.424 0.924 0.806
H11 H 0.468 0.117 0.803
H12 H 0.478 0.118 0.304
H13 H 0.521 0.900 0.128
H14 H 0.536 0.905 0.627
H15 H 0.580 0.073 0.122
H16 H 0.582 0.082 0.627
H17 H 0.613 0.982 0.804
H18 H 0.614 0.973 0.303
H19 H 0.900 0.537 0.627
H20 H 0.903 0.570 0.305
H21 H 0.905 0.456 0.128
H22 H 0.921 0.428 0.809
H23 H 0.973 0.619 0.804
H24 H 0.992 0.391 0.308
C1 C 0.002 0.507 0.777
C2 C 0.501 0.007 0.776
C3 C 0.504 0.006 0.276
C4 C 0.998 0.504 0.277
I1 I 0.001 0.004 0.757
I2 I 0.002 0.001 0.256
I3 I 0.247 0.240 0.503
I4 I 0.247 0.745 0.502
I5 I 0.249 0.257 0.005
I6 I 0.255 0.756 0.001
I7 I 0.502 0.503 0.757
I8 I 0.502 0.504 0.257
I9 I 0.740 0.748 0.504
I10 I 0.750 0.251 0.005
I11 I 0.752 0.251 0.505
I12 I 0.756 0.750 0.002
N1 N 0.000 0.501 0.158
N2 N 0.001 0.504 0.658
N3 N 0.501 0.004 0.157
N4 N 0.505 0.007 0.657
```

## Properties
E: -4.2420 eV per atom
Crystal system: triclinic
Formation energy from the elements: -0.40 eV/atom

First-principles (PBE) data for a relaxed structure of SbH6C2I, as listed in Materials Project.

Geometry as CIF:
```
data_SbH6C2I
_cell_length_a 7.023
_cell_length_b 11.095
_cell_length_c 17.617
_cell_angle_alpha 90.00
_cell_angle_beta 90.00
_cell_angle_gamma 90.00
_space_group_name_H-M_alt 'P b c a'
_space_group_IT_number 61
loop_
_space_group_symop_operation_xyz
'x,y,z'
'-x,-y,-z'
'-x+1/2,-y,z+1/2'
'x+1/2,y,-z+1/2'
'x+1/2,-y+1/2,-z'
'-x+1/2,y+1/2,z'
'-x,y+1/2,-z+1/2'
'x,-y+1/2,z+1/2'
loop_
_atom_site_label
_atom_site_type_symbol
_atom_site_fract_x
_atom_site_fract_y
_atom_site_fract_z
Sb1 Sb 0.206 0.132 0.176
H1 H 0.001 0.654 0.075
H2 H 0.015 0.151 0.039
H3 H 0.026 0.015 0.374
H4 H 0.088 0.203 0.572
H5 H 0.118 0.727 0.388
H6 H 0.142 0.525 0.049
C1 C 0.024 0.211 0.088
C2 C 0.075 0.573 0.096
I1 I 0.010 0.594 0.669
```

## Properties
E: -4.5772 eV per atom
Crystal system: orthorhombic
Formation energy from the elements: -0.17 eV/atom

First-principles (PBE) data for a relaxed structure of KInH8C4O12, as listed in Materials Project.

Geometry as CIF:
```
data_KInH8C4O12
_cell_length_a 11.290
_cell_length_b 11.290
_cell_length_c 8.988
_cell_angle_alpha 90.00
_cell_angle_beta 90.00
_cell_angle_gamma 90.00
_space_group_name_H-M_alt 'I 41/a'
_space_group_IT_number 88
loop_
_space_group_symop_operation_xyz
'x,y,z'
'-x,-y,-z'
'-y+3/4,x+1/4,z+1/4'
'y+3/4,-x+1/4,-z+1/4'
'-x+1/2,-y,z+1/2'
'x+1/2,y,-z+1/2'
'y+3/4,-x+3/4,z+3/4'
'-y+3/4,x+3/4,-z+3/4'
'x+1/2,y+1/2,z+1/2'
'-x+1/2,-y+1/2,-z+1/2'
'-y+1/4,x+3/4,z+3/4'
'y+1/4,-x+3/4,-z+3/4'
'-x,-y+1/2,z'
'x,y+1/2,-z'
'y+1/4,-x+1/4,z+1/4'
'-y+1/4,x+1/4,-z+1/4'
loop_
_atom_site_label
_atom_site_type_symbol
_atom_site_fract_x
_atom_site_fract_y
_atom_site_fract_z
K1 K 0.000 0.250 0.125
In1 In 0.000 0.250 0.625
H1 H 0.089 0.486 0.869
H2 H 0.169 0.002 0.989
C1 C 0.003 0.023 0.420
O1 O 0.002 0.446 0.684
O2 O 0.008 0.133 0.402
O3 O 0.145 0.040 0.083
```

## Properties
E: -6.0960 eV per atom
Crystal system: tetragonal
Formation energy from the elements: -1.52 eV/atom

First-principles (PBE) data for a relaxed structure of In2Sb2H16C4S7N2, as listed in Materials Project.

Geometry as CIF:
```
data_In2Sb2H16C4S7N2
_cell_length_a 20.190
_cell_length_b 7.104
_cell_length_c 17.493
_cell_angle_alpha 90.00
_cell_angle_beta 123.63
_cell_angle_gamma 90.00
_space_group_name_H-M_alt 'C 1 2/c 1'
_space_group_IT_number 15
loop_
_space_group_symop_operation_xyz
'x,y,z'
'-x,-y,-z'
'-x,y,-z+1/2'
'x,-y,z+1/2'
'x+1/2,y+1/2,z'
'-x+1/2,-y+1/2,-z'
'-x+1/2,y+1/2,-z+1/2'
'x+1/2,-y+1/2,z+1/2'
loop_
_atom_site_label
_atom_site_type_symbol
_atom_site_fract_x
_atom_site_fract_y
_atom_site_fract_z
In1 In 0.040 0.231 0.389
Sb1 Sb 0.034 0.264 0.954
H1 H 0.132 0.441 0.832
H2 H 0.160 0.354 0.718
H3 H 0.167 0.161 0.789
H4 H 0.180 0.322 0.280
H5 H 0.217 0.292 0.399
H6 H 0.219 0.110 0.631
H7 H 0.224 0.378 0.917
H8 H 0.244 0.226 0.188
C1 C 0.194 0.294 0.788
C2 C 0.219 0.379 0.349
S1 S 0.000 0.418 0.250
S2 S 0.079 0.145 0.109
S3 S 0.120 0.064 0.927
S4 S 0.127 0.465 0.512
N1 N 0.190 0.429 0.851
```

## Properties
E: -4.8400 eV per atom
Crystal system: monoclinic
Formation energy from the elements: -0.41 eV/atom

First-principles (PBE) data for a relaxed structure of In4H12C15O31, as listed in Materials Project.

Geometry as CIF:
```
data_In4H12C15O31
_cell_length_a 12.368
_cell_length_b 12.368
_cell_length_c 12.368
_cell_angle_alpha 90.00
_cell_angle_beta 90.00
_cell_angle_gamma 90.00
_space_group_name_H-M_alt 'I m -3'
_space_group_IT_number 204
_space_group_name_Hall '-I 2 2 3'
loop_
_atom_site_label
_atom_site_type_symbol
_atom_site_fract_x
_atom_site_fract_y
_atom_site_fract_z
In1 In 0.250 0.250 0.250
H1 H 0.000 0.218 0.312
C1 C 0.000 0.000 0.500
C2 C 0.000 0.268 0.237
O1 O 0.000 0.000 0.000
O2 O 0.000 0.095 0.500
O3 O 0.089 0.296 0.194
```

## Properties
E: -6.5401 eV per atom
Crystal system: cubic
Formation energy from the elements: -1.34 eV/atom

| no. | total magnetization (μB/cell) | V (Å³/atom) |
| --- | --- | --- |
| 1 | 0.0 | 21.328 |
| 2 | 0.2 | 19.658 |
| 3 | 0.0 | 21.453 |
| 4 | 0.0 | 17.159 |
| 5 | 0.0 | 11.016 |
| 6 | 0.0 | 15.826 |
| 7 | 4.0 | 15.256 |